Entry 1:
Below is a relaxed structure of GdAgP4O12, with properties calculated at the GGA-PBE level.

Lattice parameters (Å, degrees): 7.345 13.289 12.312 90.00 126.23 90.00
Space group P2_1/c (No. 14)
Inequivalent atoms, fractional coordinates:
Gd 0.034 0.219 0.022
Ag 0.435 0.222 0.935
P 0.059 0.091 0.296
P 0.156 0.626 0.803
P 0.388 0.614 0.262
P 0.494 0.601 0.748
O 0.019 0.133 0.846
O 0.119 0.111 0.200
O 0.141 0.520 0.861
O 0.146 0.162 0.412
O 0.168 0.707 0.893
O 0.213 0.580 0.294
O 0.280 0.688 0.149
O 0.299 0.166 0.697
O 0.307 0.608 0.599
O 0.397 0.144 0.105
O 0.405 0.622 0.838
O 0.423 0.513 0.206

Summary:
Formation energy in meV/atom: -2706
Total DFT energy (no corrections) in eV per atom: -7.688



Entry 2:
Below is a relaxed structure of Gd2AgRh, with properties calculated at the GGA-PBE level.

Lattice parameters (Å, degrees): 7.134 7.134 7.134 90.00 90.00 90.00
Space group Fm-3m (No. 225)
Inequivalent atoms, fractional coordinates:
Gd 0.250 0.250 0.250
Ag 0.000 0.000 0.000
Rh 0.000 0.000 0.500

Summary:
Formation energy in meV/atom: -532
Total DFT energy (no corrections) in eV per atom: -10.120



Entry 3:
Below is a relaxed structure of GdAgSe2, with properties calculated at the GGA-PBE level.

Lattice parameters (Å, degrees): 4.1235 4.1235 6.7254 90.00 90.00 120.00
Space group P-3m1 (No. 164)
Inequivalent atoms, fractional coordinates:
Gd 0.0000 0.0000 0.0000
Ag 0.0000 0.0000 0.5000
Se 0.3333 0.6667 0.2479

Summary:
Formation energy in meV/atom: -1433
Total DFT energy (no corrections) in eV per atom: -7.172



> formation energy of number 3 (GdAgSe2)?

-1433 meV/atom